Li9Mn2Co5O16: relaxed, PBE+U.

Unit cell a=2.955 b=8.112 c=11.914 alpha=90.85 beta=92.26 gamma=90.58
Fractional coordinates of all 32 atoms:
Li 0.993 0.749 0.879
Li 0.498 0.503 0.258
Li 0.993 0.264 0.625
Li 0.500 0.000 0.000
Li 0.007 0.736 0.375
Li 0.502 0.497 0.742
Li 0.007 0.251 0.121
Li 0.500 0.000 0.500
Li 0.500 0.500 0.500
Mn 0.006 0.743 0.623
Mn 0.994 0.257 0.377
Co 0.500 0.500 0.000
Co 0.504 0.004 0.748
Co 0.000 0.749 0.125
Co 0.000 0.251 0.875
Co 0.496 0.996 0.252
O 0.520 0.764 0.736
O 0.959 0.510 0.119
O 0.510 0.249 0.483
O 0.959 0.009 0.869
O 0.511 0.761 0.245
O 0.994 0.519 0.629
O 0.509 0.262 0.996
O 0.965 0.009 0.367
O 0.491 0.738 0.004
O 0.006 0.481 0.371
O 0.489 0.239 0.755
O 0.041 0.991 0.131
O 0.490 0.751 0.517
O 0.041 0.490 0.881
O 0.480 0.236 0.264
O 0.035 0.991 0.633

Results
- crystal system = triclinic
- E_tot (eV for the cell shown) = -185.98
- size of the total moment (Bohr magnetons per cell) = 14.0
- energy of formation (eV/atom) = -1.8214
- distance to the lowest polymorph of the same formula (eV/f.u.) = 1.37

CoSb2O7: relaxed, PBE+U.

Unit cell a=14.926 b=7.719 c=10.627 alpha=68.97 beta=90.00 gamma=90.00
Fractional coordinates of all 80 atoms:
Co 0.656 0.352 0.075
Co 0.156 0.648 0.425
Co 0.344 0.648 0.925
Co 0.844 0.352 0.575
Co 0.779 0.005 0.270
Co 0.279 0.995 0.230
Co 0.221 0.995 0.730
Co 0.721 0.005 0.770
Sb 0.837 0.185 0.948
Sb 0.000 0.505 0.749
Sb 0.500 0.505 0.249
Sb 0.000 0.495 0.251
Sb 0.710 0.515 0.753
Sb 0.210 0.485 0.747
Sb 0.290 0.485 0.247
Sb 0.790 0.515 0.253
Sb 0.500 0.495 0.751
Sb 0.164 0.150 0.425
Sb 0.664 0.850 0.075
Sb 0.836 0.850 0.575
Sb 0.337 0.815 0.552
Sb 0.663 0.185 0.448
Sb 0.163 0.815 0.052
Sb 0.336 0.150 0.925
O 0.957 0.257 0.897
O 0.457 0.743 0.603
O 0.043 0.743 0.103
O 0.543 0.257 0.397
O 0.787 0.948 0.943
O 0.287 0.052 0.557
O 0.213 0.052 0.057
O 0.713 0.948 0.443
O 0.863 0.089 0.140
O 0.363 0.911 0.360
O 0.137 0.911 0.860
O 0.637 0.089 0.640
O 0.298 0.406 0.905
O 0.798 0.594 0.595
O 0.702 0.594 0.095
O 0.202 0.406 0.405
O 0.372 0.056 0.119
O 0.872 0.944 0.381
O 0.628 0.944 0.881
O 0.128 0.056 0.619
O 0.321 0.923 0.880
O 0.450 0.635 0.859
O 0.821 0.077 0.620
O 0.179 0.923 0.380
O 0.423 0.358 0.673
O 0.923 0.642 0.827
O 0.577 0.642 0.327
O 0.077 0.358 0.173
O 0.463 0.223 0.890
O 0.963 0.777 0.610
O 0.537 0.777 0.110
O 0.037 0.223 0.390
O 0.892 0.545 0.130
O 0.392 0.455 0.370
O 0.108 0.455 0.870
O 0.608 0.545 0.630
O 0.733 0.268 0.257
O 0.233 0.732 0.243
O 0.267 0.732 0.743
O 0.767 0.268 0.757
O 0.732 0.404 0.444
O 0.232 0.596 0.056
O 0.268 0.596 0.556
O 0.768 0.404 0.944
O 0.753 0.771 0.239
O 0.253 0.229 0.261
O 0.247 0.229 0.761
O 0.747 0.771 0.739
O 0.893 0.452 0.381
O 0.393 0.548 0.119
O 0.107 0.548 0.619
O 0.607 0.452 0.881
O 0.050 0.635 0.359
O 0.550 0.365 0.141
O 0.950 0.365 0.641
O 0.679 0.077 0.120

Results
- crystal system = monoclinic
- E_tot (eV for the cell shown) = -458.54
- size of the total moment (Bohr magnetons per cell) = 32.0
- energy of formation (eV/atom) = -1.3763

YMo3Se2ClO8: relaxed, PBE+U.

Unit cell a=6.746 b=7.205 c=10.807 alpha=86.37 beta=89.65 gamma=89.15
Fractional coordinates of all 30 atoms:
Y 0.748 0.738 0.263
Y 0.244 0.262 0.748
Mo 0.498 0.998 0.000
Mo 0.501 0.011 0.494
Mo 0.995 0.987 0.998
Mo 0.261 0.759 0.754
Mo 0.777 0.242 0.235
Mo 0.002 0.005 0.501
Se 0.265 0.624 0.143
Se 0.731 0.366 0.859
Se 0.249 0.599 0.436
Se 0.762 0.416 0.558
Cl 0.817 0.797 0.852
Cl 0.137 0.190 0.177
O 0.749 0.029 0.121
O 0.667 0.463 0.178
O 0.216 0.583 0.598
O 0.447 0.803 0.158
O 0.546 0.285 0.565
O 0.951 0.255 0.599
O 0.248 0.960 0.883
O 0.031 0.756 0.135
O 0.057 0.760 0.399
O 0.961 0.225 0.869
O 0.754 0.023 0.370
O 0.255 0.994 0.621
O 0.551 0.187 0.840
O 0.466 0.735 0.422
O 0.307 0.516 0.832
O 0.808 0.434 0.394

Results
- crystal system = triclinic
- E_tot (eV for the cell shown) = -192.75
- size of the total moment (Bohr magnetons per cell) = 20.0
- energy of formation (eV/atom) = -1.6032

Na2Te4MoO12: relaxed, PBE+U.

Unit cell a=9.257 b=9.257 c=11.472 alpha=75.60 beta=75.60 gamma=37.49
Fractional coordinates of all 38 atoms:
Na 0.563 0.017 0.264
Na 0.983 0.437 0.236
Na 0.437 0.983 0.736
Na 0.017 0.563 0.764
Te 0.320 0.870 0.404
Te 0.130 0.680 0.096
Te 0.680 0.130 0.596
Te 0.870 0.320 0.904
Te 0.484 0.829 0.067
Te 0.171 0.516 0.433
Te 0.516 0.171 0.933
Te 0.829 0.484 0.567
Mo 0.662 0.338 0.250
Mo 0.338 0.662 0.750
O 0.491 0.287 0.338
O 0.713 0.509 0.162
O 0.509 0.713 0.662
O 0.287 0.491 0.838
O 0.684 0.834 0.071
O 0.166 0.316 0.429
O 0.316 0.166 0.929
O 0.834 0.684 0.571
O 0.651 0.674 0.411
O 0.326 0.349 0.089
O 0.349 0.326 0.589
O 0.674 0.651 0.911
O 0.314 0.005 0.247
O 0.995 0.686 0.253
O 0.686 0.995 0.753
O 0.005 0.314 0.747
O 0.388 0.634 0.366
O 0.366 0.612 0.134
O 0.612 0.366 0.634
O 0.634 0.388 0.866
O 0.825 0.128 0.144
O 0.872 0.175 0.356
O 0.175 0.872 0.856
O 0.128 0.825 0.644

Results
- crystal system = monoclinic
- E_tot (eV for the cell shown) = -214.19
- size of the total moment (Bohr magnetons per cell) = 0.0
- energy of formation (eV/atom) = -1.7421

Mn2OF3: relaxed, PBE+U.

Unit cell a=7.375 b=7.375 c=7.083 alpha=90.00 beta=90.00 gamma=128.66
Fractional coordinates of all 24 atoms:
Mn 0.625 0.875 0.750
Mn 0.125 0.375 0.750
Mn 0.126 0.874 0.750
Mn 0.376 0.624 0.250
Mn 0.624 0.376 0.750
Mn 0.874 0.126 0.250
Mn 0.375 0.125 0.250
Mn 0.875 0.625 0.250
O 0.469 0.531 0.750
O 0.780 0.220 0.750
O 0.531 0.469 0.250
O 0.220 0.780 0.250
F 0.974 0.026 0.750
F 0.624 0.873 0.052
F 0.127 0.376 0.052
F 0.873 0.624 0.948
F 0.624 0.873 0.448
F 0.127 0.376 0.448
F 0.376 0.127 0.948
F 0.026 0.974 0.250
F 0.277 0.723 0.750
F 0.723 0.277 0.250
F 0.873 0.624 0.552
F 0.376 0.127 0.552

Results
- crystal system = orthorhombic
- E_tot (eV for the cell shown) = -156.75
- size of the total moment (Bohr magnetons per cell) = 36.0
- energy of formation (eV/atom) = -2.5967
- distance to the lowest polymorph of the same formula (eV/f.u.) = 0.25

Ba2Tl2Zn2Ni3O10: relaxed, PBE+U.

Unit cell a=3.633 b=3.703 c=20.810 alpha=94.97 beta=94.99 gamma=90.00
Fractional coordinates of all 19 atoms:
Ba 0.836 0.897 0.710
Ba 0.159 0.201 0.289
Tl 0.275 0.330 0.560
Tl 0.724 0.773 0.441
Zn 0.055 0.109 0.085
Zn 0.949 0.018 0.916
Ni 0.597 0.646 0.161
Ni 0.401 0.475 0.838
Ni 0.499 0.563 0.998
O 0.119 0.663 0.204
O 0.684 0.721 0.342
O 0.577 0.129 0.128
O 0.231 0.241 0.457
O 0.472 0.045 0.962
O 0.377 0.956 0.797
O 0.314 0.368 0.659
O 0.920 0.498 0.876
O 0.770 0.782 0.544
O 0.021 0.587 0.042

Results
- crystal system = triclinic
- E_tot (eV for the cell shown) = -92.61
- size of the total moment (Bohr magnetons per cell) = 6.0
- energy of formation (eV/atom) = -1.5370

Which of these has the lowest E_tot? CoSb2O7